A geometry-optimized TiH30C10S5Cl2O6 structure, computed with GGA-PBE.

Cell: 9.835 10.722 12.930 Å, 71.07 83.40 89.94°
Space group P-1 (No. 2)
One atom of each set of equivalent atoms:
Ti 0.243 0.406 0.184 [2 per cell]
H 0.009 0.154 0.523 [2 per cell]
H 0.013 0.392 0.567 [2 per cell]
H 0.050 0.824 0.211 [2 per cell]
H 0.062 0.731 0.998 [2 per cell]
H 0.068 0.910 0.938 [2 per cell]
H 0.095 0.180 0.008 [2 per cell]
H 0.119 0.015 0.529 [2 per cell]
H 0.124 0.102 0.628 [2 per cell]
H 0.128 0.509 0.593 [2 per cell]
H 0.148 0.333 0.652 [2 per cell]
H 0.170 0.742 0.307 [2 per cell]
H 0.188 0.780 0.697 [2 per cell]
H 0.204 0.759 0.161 [2 per cell]
H 0.215 0.714 0.841 [2 per cell]
H 0.223 0.891 0.773 [2 per cell]
H 0.273 0.369 0.834 [2 per cell]
H 0.283 0.008 0.277 [2 per cell]
H 0.294 0.545 0.758 [2 per cell]
H 0.300 0.012 0.135 [2 per cell]
H 0.327 0.481 0.901 [2 per cell]
H 0.368 0.028 0.484 [2 per cell]
H 0.384 0.108 0.586 [2 per cell]
H 0.387 0.921 0.931 [2 per cell]
H 0.395 0.744 0.995 [2 per cell]
H 0.415 0.587 0.393 [2 per cell]
H 0.417 0.340 0.661 [2 per cell]
H 0.431 0.940 0.222 [2 per cell]
H 0.437 0.518 0.600 [2 per cell]
H 0.475 0.148 0.986 [2 per cell]
H 0.478 0.176 0.451 [2 per cell]
C 0.009 0.817 0.951 [2 per cell]
C 0.075 0.411 0.626 [2 per cell]
C 0.109 0.111 0.543 [2 per cell]
C 0.125 0.747 0.231 [2 per cell]
C 0.175 0.796 0.777 [2 per cell]
C 0.330 0.462 0.822 [2 per cell]
C 0.354 0.016 0.203 [2 per cell]
C 0.383 0.122 0.498 [2 per cell]
C 0.455 0.837 0.958 [2 per cell]
C 0.484 0.427 0.646 [2 per cell]
S 0.003 0.195 0.182 [2 per cell]
S 0.033 0.595 0.252 [2 per cell]
S 0.241 0.223 0.455 [2 per cell]
S 0.444 0.173 0.163 [2 per cell]
S 0.496 0.565 0.220 [2 per cell]
Cl 0.243 0.740 0.505 [2 per cell]
Cl 0.254 0.121 0.814 [2 per cell]
O 0.061 0.338 0.156 [2 per cell]
O 0.137 0.485 0.293 [2 per cell]
O 0.227 0.222 0.338 [2 per cell]
O 0.260 0.545 0.076 [2 per cell]
O 0.338 0.276 0.115 [2 per cell]
O 0.420 0.428 0.246 [2 per cell]



A geometry-optimized Ti2HCSe4Cl16O5 structure, computed with GGA-PBE.

Cell: 13.224 8.887 18.237 Å, 90.00 129.36 90.00°
Space group Pc (No. 7)
One atom of each set of equivalent atoms:
Ti 0.000 0.003 0.000 [2 per cell]
Ti 0.221 0.003 0.949 [2 per cell]
H 0.687 0.135 0.992 [2 per cell]
C 0.626 0.230 0.978 [2 per cell]
Se 0.279 0.167 0.313 [2 per cell]
Se 0.360 0.266 0.613 [2 per cell]
Se 0.861 0.266 0.336 [2 per cell]
Se 0.941 0.168 0.636 [2 per cell]
Cl 0.022 0.230 0.064 [2 per cell]
Cl 0.045 0.111 0.296 [2 per cell]
Cl 0.174 0.112 0.653 [2 per cell]
Cl 0.198 0.230 0.885 [2 per cell]
Cl 0.282 0.407 0.346 [2 per cell]
Cl 0.287 0.488 0.613 [2 per cell]
Cl 0.415 0.052 0.099 [2 per cell]
Cl 0.459 0.170 0.329 [2 per cell]
Cl 0.529 0.349 0.627 [2 per cell]
Cl 0.546 0.323 0.874 [2 per cell]
Cl 0.657 0.322 0.072 [2 per cell]
Cl 0.692 0.351 0.323 [2 per cell]
Cl 0.762 0.170 0.621 [2 per cell]
Cl 0.805 0.052 0.850 [2 per cell]
Cl 0.935 0.488 0.337 [2 per cell]
Cl 0.938 0.408 0.603 [2 per cell]
O 0.110 0.033 0.975 [2 per cell]
O 0.247 0.224 0.497 [2 per cell]
O 0.339 0.076 0.414 [2 per cell]
O 0.881 0.075 0.536 [2 per cell]
O 0.973 0.224 0.452 [2 per cell]



A geometry-optimized TiSi7H42C14Cl2O2 structure, computed with GGA-PBE.

Cell: 9.774 18.595 10.434 Å, 90.00 101.23 90.00°
Space group P2_1 (No. 4)
One atom of each set of equivalent atoms:
Ti 0.152 0.000 0.406 [2 per cell]
Si 0.034 0.031 0.958 [2 per cell]
Si 0.173 0.259 0.435 [2 per cell]
Si 0.247 0.021 0.117 [2 per cell]
Si 0.323 0.157 0.420 [2 per cell]
Si 0.361 0.133 0.199 [2 per cell]
Si 0.401 0.930 0.059 [2 per cell]
Si 0.471 0.648 0.411 [2 per cell]
H 0.002 0.398 0.063 [2 per cell]
H 0.021 0.251 0.213 [2 per cell]
H 0.024 0.556 0.281 [2 per cell]
H 0.044 0.696 0.673 [2 per cell]
H 0.045 0.658 0.016 [2 per cell]
H 0.053 0.308 0.605 [2 per cell]
H 0.069 0.791 0.672 [2 per cell]
H 0.075 0.214 0.625 [2 per cell]
H 0.098 0.600 0.899 [2 per cell]
H 0.099 0.436 0.951 [2 per cell]
H 0.130 0.003 0.758 [2 per cell]
H 0.137 0.098 0.791 [2 per cell]
H 0.159 0.446 0.122 [2 per cell]
H 0.179 0.218 0.076 [2 per cell]
H 0.188 0.598 0.065 [2 per cell]
H 0.198 0.391 0.415 [2 per cell]
H 0.218 0.273 0.679 [2 per cell]
H 0.235 0.852 0.906 [2 per cell]
H 0.239 0.826 0.071 [2 per cell]
H 0.243 0.709 0.347 [2 per cell]
H 0.282 0.345 0.302 [2 per cell]
H 0.286 0.699 0.520 [2 per cell]
H 0.313 0.200 0.987 [2 per cell]
H 0.315 0.545 0.328 [2 per cell]
H 0.343 0.261 0.120 [2 per cell]
H 0.363 0.350 0.470 [2 per cell]
H 0.365 0.541 0.500 [2 per cell]
H 0.365 0.768 0.440 [2 per cell]
H 0.377 0.801 0.992 [2 per cell]
H 0.392 0.587 0.737 [2 per cell]
H 0.395 0.364 0.814 [2 per cell]
H 0.397 0.682 0.767 [2 per cell]
H 0.399 0.130 0.772 [2 per cell]
H 0.400 0.453 0.755 [2 per cell]
H 0.414 0.981 0.841 [2 per cell]
H 0.425 0.656 0.168 [2 per cell]
H 0.427 0.621 0.900 [2 per cell]
H 0.435 0.505 0.041 [2 per cell]
H 0.450 0.221 0.762 [2 per cell]
H 0.453 0.417 0.109 [2 per cell]
H 0.484 0.513 0.399 [2 per cell]
H 0.485 0.887 0.288 [2 per cell]
C 0.004 0.248 0.313 [2 per cell]
C 0.065 0.444 0.045 [2 per cell]
C 0.074 0.049 0.791 [2 per cell]
C 0.084 0.604 0.001 [2 per cell]
C 0.126 0.264 0.602 [2 per cell]
C 0.263 0.344 0.402 [2 per cell]
C 0.291 0.210 0.085 [2 per cell]
C 0.302 0.845 0.002 [2 per cell]
C 0.329 0.712 0.433 [2 per cell]
C 0.403 0.553 0.410 [2 per cell]
C 0.445 0.630 0.800 [2 per cell]
C 0.465 0.406 0.791 [2 per cell]
C 0.483 0.166 0.754 [2 per cell]
C 0.490 0.962 0.925 [2 per cell]
Cl 0.081 0.503 0.611 [2 per cell]
Cl 0.239 0.913 0.548 [2 per cell]
O 0.192 0.984 0.249 [2 per cell]
O 0.227 0.085 0.457 [2 per cell]



Looking at DFT formation energy for the records above, in order, we have -2611.2 -2663.9 -2469.3 kJ/mol of formula units.
Looking at total magnetic moment for the records above, in order, we have 0.00 0.95 0.00 μB/f.u..